Entry 1:
Compound: EuFeO3
Source: Materials Project
Functional: PBE with a Hubbard U
Structure: relaxed

As for the total energy: -8.270 eV per atom. As for the formation energy: -12.097 eV per formula unit.

The structure belongs to space group Imma (No. 74); the cell edges are 5.494, 7.801 and 5.563 Å and the angles 90.00°, 90.00° and 90.00°. The inequivalent atoms are Eu at (0.000, 0.250, 0.011), Fe at (0.000, 0.000, 0.500), O at (0.000, 0.250, 0.586) and O at (0.250, 0.048, 0.250).

---

Entry 2:
Compound: EuFeO3
Source: Materials Project
Functional: PBE with a Hubbard U
Structure: relaxed

As for the total energy: -8.216 eV per atom. As for the formation energy: -11.824 eV per formula unit.

The structure belongs to space group Pm-3m (No. 221); the cell edges are 3.865, 3.865 and 3.865 Å and the angles 90.00°, 90.00° and 90.00°. The inequivalent atoms are Eu at (0.000, 0.000, 0.000), Fe at (0.500, 0.500, 0.500) and O at (0.000, 0.500, 0.500).

---

Entry 3:
Compound: Eu2FeSbO7
Source: Materials Project
Functional: PBE with a Hubbard U
Structure: relaxed

As for the total energy: -8.053 eV per atom. As for the formation energy: -27.900 eV per formula unit.

The structure belongs to space group Imma (No. 74); the cell edges are 7.340, 7.458 and 10.469 Å and the angles 90.00°, 90.00° and 90.00°. The inequivalent atoms are Eu at (0.000, 0.000, 0.000), Eu at (0.250, 0.250, 0.250), Fe at (0.250, 0.250, 0.750), Sb at (0.000, 0.000, 0.500), O at (0.000, 0.250, 0.125), O at (0.000, 0.250, 0.422), O at (0.000, 0.250, 0.829) and O at (0.202, 0.044, 0.624).

---

Entry 4:
Compound: SrEuFeSbO6
Source: Materials Project
Functional: PBE with a Hubbard U
Structure: relaxed

As for the total energy: -7.281 eV per atom. As for the formation energy: -24.951 eV per formula unit.

The structure belongs to space group F-43m (No. 216); the cell edges are 8.033, 8.033 and 8.033 Å and the angles 90.00°, 90.00° and 90.00°. The inequivalent atoms are Sr at (0.000, 0.000, 0.000), Eu at (0.000, 0.000, 0.500), Fe at (0.250, 0.250, 0.750), Sb at (0.250, 0.250, 0.250) and O at (0.001, 0.250, 0.250).